# TmNiGe (PBE, optimized geometry)
# * VASP energy: -5.690 eV/atom
# * spin magnetization: 0.0 μB per formula unit
# * energy relative to the elements: -0.7302 eV per atom
data_TmNiGe
_symmetry_space_group_name_H-M 'P 1'
_symmetry_Int_Tables_number 1
_symmetry_space_group_name_Hall 'P 1'
_cell_length_a 5.467
_cell_length_b 5.467
_cell_length_c 6.774
_cell_angle_alpha 51.91
_cell_angle_beta 51.91
_cell_angle_gamma 44.20
loop_
_atom_site_label
_atom_site_type_symbol
_atom_site_fract_x
_atom_site_fract_y
_atom_site_fract_z
Tm1 Tm 0.550 0.550 0.690
Tm2 Tm 0.450 0.450 0.310
Ni1 Ni 0.169 0.169 0.280
Ni2 Ni 0.831 0.831 0.720
Ge1 Ge 0.830 0.830 0.104
Ge2 Ge 0.170 0.170 0.896